Record 1
# LaRhO3

A geometry-optimized LaRhO3 structure (PBE, the Materials Project database).

Lattice parameters (Å, degrees): 5.879 7.945 5.521 90.00 90.00 90.00
Space group Pnma (No. 62)
Asymmetric unit:
La1 0.070 0.250 0.020 (multiplicity 4)
Rh1 0.000 0.000 0.500 (multiplicity 4)
O1 0.031 0.750 0.394 (multiplicity 4)
O2 0.198 0.553 0.811 (multiplicity 8)

The crystal system is orthorhombic. The MP2020-corrected energy comes out at -7.97 eV per atom. The calculation puts the energy at -7.56 eV/atom. The value obtained for the volume is 258 Å³ per cell. The calculation puts the calculated formation energy at -2.5450 eV/atom. The calculation puts the mass density at 7.5 Mg/m³.

=====

Record 2
# La2ZnRhO6

A geometry-optimized La2ZnRhO6 structure (PBE, the Materials Project database).

Lattice parameters (Å, degrees): 5.592 5.795 9.716 90.00 125.10 90.00
Space group P2_1/c (No. 14)
Asymmetric unit:
La1 0.237 0.057 0.251 (multiplicity 4)
Zn1 0.500 0.000 0.000 (multiplicity 2)
Rh1 0.000 0.000 0.500 (multiplicity 2)
O1 0.142 0.209 0.949 (multiplicity 4)
O2 0.246 0.698 0.951 (multiplicity 4)
O3 0.340 0.028 0.746 (multiplicity 4)

The crystal system is monoclinic. The MP2020-corrected energy comes out at -7.48 eV per atom. The calculation puts the energy at -7.07 eV/atom. The total magnetization comes out at 2.0 μB per cell. The value obtained for the volume is 258 Å³ per cell. The calculation puts the calculated formation energy at -2.6630 eV/atom. The calculation puts the mass density at 7.0 Mg/m³.